No. 1
VASP calculation (PBE-GGA) on a relaxed OsS2Cl12 crystal.

a b c (Å): 8.446 8.446 8.446
angles (deg): 78.65 78.65 78.65
Atoms (fractional coordinates):
Os (0.000, 0.000, 0.000)
S (0.209, 0.209, 0.209)
S (0.791, 0.791, 0.791)
Cl (0.126, 0.818, 0.818)
Cl (0.164, 0.164, 0.459)
Cl (0.164, 0.459, 0.164)
Cl (0.182, 0.182, 0.874)
Cl (0.182, 0.874, 0.182)
Cl (0.459, 0.164, 0.164)
Cl (0.541, 0.836, 0.836)
Cl (0.818, 0.126, 0.818)
Cl (0.818, 0.818, 0.126)
Cl (0.836, 0.541, 0.836)
Cl (0.836, 0.836, 0.541)
Cl (0.874, 0.182, 0.182)

No. 2
VASP calculation (PBE-GGA) on a relaxed OsS6Cl24 crystal.

a b c (Å): 13.112 13.112 15.411
angles (deg): 96.06 96.06 125.43
Atoms (fractional coordinates):
Os (0.000, 0.000, 0.000)
S (0.013, 0.826, 0.003)
S (0.055, 0.055, 0.152)
S (0.174, 0.987, 0.997)
S (0.826, 0.013, 0.003)
S (0.945, 0.945, 0.848)
S (0.987, 0.174, 0.997)
Cl (0.004, 0.823, 0.785)
Cl (0.077, 0.712, 0.746)
Cl (0.177, 0.996, 0.215)
Cl (0.202, 0.745, 0.932)
Cl (0.208, 0.511, 0.552)
Cl (0.241, 0.428, 0.455)
Cl (0.255, 0.798, 0.068)
Cl (0.288, 0.923, 0.254)
Cl (0.428, 0.241, 0.455)
Cl (0.453, 0.539, 0.258)
Cl (0.461, 0.547, 0.742)
Cl (0.489, 0.792, 0.448)
Cl (0.511, 0.208, 0.552)
Cl (0.539, 0.453, 0.258)
Cl (0.547, 0.461, 0.742)
Cl (0.572, 0.759, 0.545)
Cl (0.712, 0.077, 0.746)
Cl (0.745, 0.202, 0.932)
Cl (0.759, 0.572, 0.545)
Cl (0.792, 0.489, 0.448)
Cl (0.798, 0.255, 0.068)
Cl (0.823, 0.004, 0.785)
Cl (0.923, 0.288, 0.254)
Cl (0.996, 0.177, 0.215)

Results
Total magnetization ... 0.000 μB per atom

No. 3
VASP calculation (PBE-GGA) on a relaxed OsSe2Cl12 crystal.

a b c (Å): 12.789 12.613 8.950
angles (deg): 70.43 68.32 41.25
Atoms (fractional coordinates):
Os (0.000, 0.000, 0.000)
Os (0.250, 0.250, 0.250)
Se (0.066, 0.600, 0.891)
Se (0.359, 0.807, 0.184)
Se (0.600, 0.066, 0.443)
Se (0.807, 0.359, 0.650)
Cl (0.039, 0.477, 0.808)
Cl (0.042, 0.964, 0.255)
Cl (0.112, 0.740, 0.039)
Cl (0.142, 0.211, 0.510)
Cl (0.187, 0.626, 0.650)
Cl (0.211, 0.142, 0.138)
Cl (0.260, 0.892, 0.891)
Cl (0.293, 0.359, 0.358)
Cl (0.354, 0.800, 0.436)
Cl (0.359, 0.293, 0.990)
Cl (0.442, 0.574, 0.211)
Cl (0.477, 0.039, 0.676)
Cl (0.511, 0.995, 0.286)
Cl (0.574, 0.442, 0.773)
Cl (0.600, 0.712, 0.063)
Cl (0.626, 0.187, 0.538)
Cl (0.712, 0.600, 0.624)
Cl (0.740, 0.112, 0.108)
Cl (0.800, 0.354, 0.410)
Cl (0.814, 0.840, 0.896)
Cl (0.840, 0.814, 0.450)
Cl (0.892, 0.260, 0.957)
Cl (0.964, 0.042, 0.739)
Cl (0.995, 0.511, 0.208)

Results
Total magnetization ... 0.133 μB per atom

Across the entries above, formation energy from the elements takes the values -0.753, -0.345, -0.847 eV per atom, respectively.